1.
## Ba5B3CNO9 (PBE-GGA)

Data for a relaxed Ba5B3CNO9 crystal.

Cell lengths 9.181, 9.181, 8.095 Å; angles 90.00, 90.00, 109.60 degrees
Sites, in units of the cell vectors:
Ba (0.741, 0.741, 0.500)
Ba (0.259, 0.259, 0.000)
Ba (0.138, 0.862, 0.750)
Ba (0.235, 0.493, 0.565)
Ba (0.855, 0.145, 0.750)
Ba (0.862, 0.138, 0.250)
Ba (0.145, 0.855, 0.250)
Ba (0.507, 0.765, 0.935)
Ba (0.765, 0.507, 0.065)
Ba (0.493, 0.235, 0.435)
B (0.095, 0.515, 0.968)
B (0.127, 0.127, 0.500)
B (0.873, 0.873, 0.000)
B (0.515, 0.095, 0.032)
B (0.485, 0.905, 0.532)
B (0.905, 0.485, 0.468)
C (0.384, 0.616, 0.250)
C (0.616, 0.384, 0.750)
N (0.463, 0.537, 0.250)
N (0.537, 0.463, 0.750)
O (0.992, 0.368, 0.011)
O (0.368, 0.992, 0.989)
O (0.062, 0.648, 0.008)
O (0.770, 0.473, 0.382)
O (0.995, 0.995, 0.500)
O (0.352, 0.938, 0.492)
O (0.230, 0.527, 0.882)
O (0.473, 0.770, 0.618)
O (0.808, 0.809, 0.151)
O (0.192, 0.191, 0.651)
O (0.005, 0.005, 0.000)
O (0.648, 0.062, 0.992)
O (0.008, 0.632, 0.511)
O (0.632, 0.008, 0.489)
O (0.809, 0.808, 0.849)
O (0.938, 0.352, 0.508)
O (0.191, 0.192, 0.349)
O (0.527, 0.230, 0.118)

Properties
DFT formation energy	-2.80	eV/atom
E	-277.4	eV/cell
theoretical density	4.59	Mg/m³

---

2.
## Ba2CdB6O12 (PBE-GGA)

Data for a relaxed Ba2CdB6O12 crystal.

Cell lengths 7.258, 7.258, 7.258 Å; angles 59.76, 59.76, 59.76 degrees
Sites, in units of the cell vectors:
Ba (0.791, 0.791, 0.791)
Ba (0.209, 0.209, 0.209)
Cd (0.000, 0.000, 0.000)
B (0.368, 0.633, 0.756)
B (0.633, 0.756, 0.368)
B (0.756, 0.368, 0.633)
B (0.632, 0.367, 0.244)
B (0.367, 0.244, 0.632)
B (0.244, 0.632, 0.367)
O (0.163, 0.664, 0.914)
O (0.664, 0.914, 0.163)
O (0.914, 0.163, 0.664)
O (0.837, 0.336, 0.086)
O (0.336, 0.086, 0.837)
O (0.086, 0.837, 0.336)
O (0.542, 0.422, 0.798)
O (0.422, 0.798, 0.542)
O (0.798, 0.542, 0.422)
O (0.458, 0.578, 0.202)
O (0.578, 0.202, 0.458)
O (0.202, 0.458, 0.578)

Properties
DFT formation energy	-2.90	eV/atom
E	-156.8	eV/cell
theoretical density	3.98	Mg/m³

---

3.
## Ba2CdB2O6 (PBE-GGA)

Data for a relaxed Ba2CdB2O6 crystal.

Cell lengths 5.404, 5.597, 6.767 Å; angles 114.23, 90.00, 118.87 degrees
Sites, in units of the cell vectors:
Ba (0.210, 0.420, 0.690)
Ba (0.790, 0.580, 0.310)
Cd (0.000, 0.000, 0.000)
B (0.561, 0.121, 0.762)
B (0.439, 0.879, 0.238)
O (0.256, 0.958, 0.728)
O (0.702, 0.958, 0.728)
O (0.744, 0.042, 0.272)
O (0.298, 0.042, 0.272)
O (0.718, 0.435, 0.826)
O (0.282, 0.565, 0.174)

Properties
DFT formation energy	-2.82	eV/atom
E	-74.7	eV/cell
theoretical density	5.29	Mg/m³

---

4.
## Ba4NaGa2B8Cl3O18 (PBE-GGA)

Data for a relaxed Ba4NaGa2B8Cl3O18 crystal.

Cell lengths 6.958, 12.277, 12.277 Å; angles 90.00, 90.00, 90.00 degrees
Sites, in units of the cell vectors:
Ba (0.668, 0.015, 0.721)
Ba (0.668, 0.985, 0.279)
Ba (0.168, 0.515, 0.779)
Ba (0.168, 0.485, 0.221)
Ba (0.668, 0.279, 0.985)
Ba (0.668, 0.721, 0.015)
Ba (0.168, 0.779, 0.515)
Ba (0.168, 0.221, 0.485)
Na (0.001, 0.000, 0.000)
Na (0.501, 0.500, 0.500)
Ga (0.673, 0.700, 0.700)
Ga (0.673, 0.300, 0.300)
Ga (0.173, 0.200, 0.800)
Ga (0.173, 0.800, 0.200)
B (0.210, 0.962, 0.765)
B (0.210, 0.038, 0.235)
B (0.710, 0.462, 0.735)
B (0.710, 0.538, 0.265)
B (0.210, 0.235, 0.038)
B (0.210, 0.765, 0.962)
B (0.710, 0.735, 0.462)
B (0.710, 0.265, 0.538)
B (0.298, 0.764, 0.764)
B (0.298, 0.236, 0.236)
B (0.798, 0.264, 0.736)
B (0.798, 0.736, 0.264)
B (0.973, 0.815, 0.815)
B (0.973, 0.185, 0.185)
B (0.473, 0.315, 0.685)
B (0.473, 0.685, 0.315)
Cl (0.939, 0.000, 0.500)
Cl (0.439, 0.500, 0.000)
Cl (0.939, 0.500, 0.000)
Cl (0.439, 0.000, 0.500)
Cl (0.612, 0.000, 0.000)
Cl (0.112, 0.500, 0.500)
O (0.769, 0.800, 0.800)
O (0.769, 0.200, 0.200)
O (0.269, 0.300, 0.700)
O (0.269, 0.700, 0.300)
O (0.024, 0.935, 0.797)
O (0.024, 0.065, 0.203)
O (0.524, 0.435, 0.703)
O (0.524, 0.565, 0.297)
O (0.024, 0.203, 0.065)
O (0.024, 0.797, 0.935)
O (0.524, 0.703, 0.435)
O (0.524, 0.297, 0.565)
O (0.407, 0.693, 0.693)
O (0.407, 0.307, 0.307)
O (0.907, 0.193, 0.807)
O (0.907, 0.807, 0.193)
O (0.342, 0.881, 0.740)
O (0.342, 0.119, 0.260)
O (0.842, 0.381, 0.760)
O (0.842, 0.619, 0.240)
O (0.342, 0.260, 0.119)
O (0.342, 0.740, 0.881)
O (0.842, 0.760, 0.381)
O (0.842, 0.240, 0.619)
O (0.775, 0.566, 0.739)
O (0.775, 0.434, 0.261)
O (0.275, 0.066, 0.761)
O (0.275, 0.934, 0.239)
O (0.775, 0.261, 0.434)
O (0.775, 0.739, 0.566)
O (0.275, 0.761, 0.066)
O (0.275, 0.239, 0.934)
O (0.091, 0.745, 0.745)
O (0.091, 0.255, 0.255)
O (0.591, 0.245, 0.755)
O (0.591, 0.755, 0.245)

Properties
DFT formation energy	-2.87	eV/atom
E	-507.9	eV/cell
theoretical density	3.78	Mg/m³

---

5.
## Ba2HoB2ClO6 (PBE-GGA)

Data for a relaxed Ba2HoB2ClO6 crystal.

Cell lengths 5.346, 6.463, 11.469 Å; angles 84.10, 90.00, 90.00 degrees
Sites, in units of the cell vectors:
Ba (0.250, 0.906, 0.706)
Ba (0.250, 0.659, 0.076)
Ba (0.750, 0.341, 0.924)
Ba (0.750, 0.094, 0.294)
Ho (0.250, 0.653, 0.413)
Ho (0.750, 0.347, 0.587)
B (0.750, 0.790, 0.572)
B (0.750, 0.622, 0.226)
B (0.250, 0.378, 0.774)
B (0.250, 0.210, 0.428)
Cl (0.750, 0.850, 0.915)
Cl (0.250, 0.150, 0.085)
O (0.473, 0.294, 0.736)
O (0.530, 0.675, 0.564)
O (0.470, 0.325, 0.436)
O (0.750, 0.476, 0.147)
O (0.970, 0.675, 0.564)
O (0.030, 0.325, 0.436)
O (0.250, 0.524, 0.853)
O (0.750, 0.993, 0.595)
O (0.027, 0.294, 0.736)
O (0.250, 0.007, 0.405)
O (0.973, 0.706, 0.264)
O (0.527, 0.706, 0.264)

Properties
DFT formation energy	-3.28	eV/atom
E	-177.1	eV/cell
theoretical density	4.99	Mg/m³

---

6.
## Ba4B10Cl2O19 (PBE-GGA)

Data for a relaxed Ba4B10Cl2O19 crystal.

Cell lengths 6.764, 11.751, 11.881 Å; angles 90.00, 90.00, 90.00 degrees
Sites, in units of the cell vectors:
Ba (0.380, 0.730, 0.979)
Ba (0.380, 0.270, 0.021)
Ba (0.880, 0.770, 0.479)
Ba (0.880, 0.230, 0.521)
Ba (0.033, 0.541, 0.740)
Ba (0.033, 0.459, 0.260)
Ba (0.533, 0.959, 0.240)
Ba (0.533, 0.041, 0.760)
B (0.848, 0.770, 0.044)
B (0.848, 0.230, 0.956)
B (0.348, 0.730, 0.544)
B (0.348, 0.270, 0.456)
B (0.511, 0.485, 0.746)
B (0.511, 0.515, 0.254)
B (0.011, 0.015, 0.246)
B (0.011, 0.985, 0.754)
B (0.880, 0.793, 0.820)
B (0.880, 0.207, 0.180)
B (0.380, 0.707, 0.320)
B (0.380, 0.293, 0.680)
B (0.226, 0.811, 0.730)
B (0.226, 0.189, 0.270)
B (0.726, 0.689, 0.230)
B (0.726, 0.311, 0.770)
B (0.560, 0.712, 0.713)
B (0.560, 0.288, 0.287)
B (0.060, 0.788, 0.213)
B (0.060, 0.212, 0.787)
Cl (0.383, 0.000, 0.000)
Cl (0.883, 0.500, 0.500)
Cl (0.144, 0.500, 0.000)
Cl (0.644, 0.000, 0.500)
O (0.507, 0.500, 0.000)
O (0.007, 0.000, 0.500)
O (0.361, 0.418, 0.703)
O (0.361, 0.582, 0.297)
O (0.861, 0.082, 0.203)
O (0.861, 0.918, 0.797)
O (0.034, 0.789, 0.086)
O (0.034, 0.211, 0.914)
O (0.534, 0.711, 0.586)
O (0.534, 0.289, 0.414)
O (0.684, 0.436, 0.783)
O (0.684, 0.564, 0.217)
O (0.184, 0.064, 0.283)
O (0.184, 0.936, 0.717)
O (0.092, 0.761, 0.815)
O (0.092, 0.239, 0.185)
O (0.592, 0.739, 0.315)
O (0.592, 0.261, 0.685)
O (0.693, 0.749, 0.120)
O (0.693, 0.251, 0.880)
O (0.193, 0.751, 0.620)
O (0.193, 0.249, 0.380)
O (0.474, 0.600, 0.758)
O (0.474, 0.400, 0.242)
O (0.974, 0.900, 0.258)
O (0.974, 0.100, 0.742)
O (0.771, 0.726, 0.734)
O (0.771, 0.274, 0.266)
O (0.271, 0.774, 0.234)
O (0.271, 0.226, 0.766)
O (0.794, 0.769, 0.933)
O (0.794, 0.231, 0.067)
O (0.294, 0.731, 0.433)
O (0.294, 0.269, 0.567)
O (0.436, 0.802, 0.763)
O (0.436, 0.198, 0.237)
O (0.936, 0.698, 0.263)
O (0.936, 0.302, 0.737)

Properties
DFT formation energy	-2.86	eV/atom
E	-518.6	eV/cell
theoretical density	3.63	Mg/m³

---

7.
## Ba2B5ClO9 (PBE-GGA)

Data for a relaxed Ba2B5ClO9 crystal.

Cell lengths 6.762, 11.724, 11.787 Å; angles 90.00, 90.00, 90.00 degrees
Sites, in units of the cell vectors:
Ba (0.993, 0.732, 0.020)
Ba (0.648, 0.457, 0.745)
Ba (0.993, 0.268, 0.980)
Ba (0.148, 0.957, 0.755)
Ba (0.148, 0.043, 0.245)
Ba (0.648, 0.543, 0.255)
Ba (0.493, 0.232, 0.480)
Ba (0.493, 0.768, 0.520)
B (0.843, 0.813, 0.272)
B (0.498, 0.201, 0.819)
B (0.130, 0.511, 0.752)
B (0.998, 0.299, 0.319)
B (0.498, 0.799, 0.181)
B (0.630, 0.989, 0.252)
B (0.964, 0.274, 0.543)
B (0.464, 0.226, 0.043)
B (0.343, 0.313, 0.228)
B (0.677, 0.214, 0.214)
B (0.177, 0.286, 0.714)
B (0.998, 0.701, 0.681)
B (0.843, 0.187, 0.728)
B (0.464, 0.774, 0.957)
B (0.964, 0.726, 0.457)
B (0.130, 0.489, 0.248)
B (0.343, 0.687, 0.772)
B (0.630, 0.011, 0.748)
B (0.677, 0.786, 0.786)
B (0.177, 0.714, 0.286)
Cl (0.007, 0.000, 0.000)
Cl (0.269, 0.000, 0.500)
Cl (0.769, 0.500, 0.000)
Cl (0.507, 0.500, 0.500)
O (0.980, 0.424, 0.295)
O (0.389, 0.268, 0.731)
O (0.309, 0.750, 0.881)
O (0.710, 0.234, 0.816)
O (0.409, 0.775, 0.069)
O (0.480, 0.076, 0.795)
O (0.309, 0.250, 0.119)
O (0.889, 0.768, 0.769)
O (0.889, 0.232, 0.231)
O (0.210, 0.266, 0.316)
O (0.098, 0.395, 0.767)
O (0.909, 0.275, 0.431)
O (0.210, 0.734, 0.684)
O (0.649, 0.207, 0.086)
O (0.598, 0.105, 0.267)
O (0.980, 0.576, 0.705)
O (0.800, 0.938, 0.291)
O (0.553, 0.306, 0.261)
O (0.149, 0.707, 0.414)
O (0.649, 0.793, 0.914)
O (0.553, 0.694, 0.739)
O (0.300, 0.438, 0.209)
O (0.598, 0.895, 0.733)
O (0.053, 0.806, 0.239)
O (0.098, 0.605, 0.233)
O (0.909, 0.725, 0.569)
O (0.809, 0.250, 0.619)
O (0.389, 0.732, 0.269)
O (0.409, 0.225, 0.931)
O (0.053, 0.194, 0.761)
O (0.800, 0.062, 0.709)
O (0.300, 0.562, 0.791)
O (0.809, 0.750, 0.381)
O (0.149, 0.293, 0.586)
O (0.710, 0.766, 0.184)
O (0.480, 0.924, 0.205)

Properties
DFT formation energy	-3.02	eV/atom
E	-515.1	eV/cell
theoretical density	3.61	Mg/m³

---

8.
## Ba3B3Pb2ClO9 (PBE-GGA)

Data for a relaxed Ba3B3Pb2ClO9 crystal.

Cell lengths 8.999, 8.999, 8.029 Å; angles 90.00, 90.00, 108.03 degrees
Sites, in units of the cell vectors:
Ba (0.234, 0.234, 0.000)
Ba (0.766, 0.766, 0.500)
Ba (0.356, 0.644, 0.250)
Ba (0.644, 0.356, 0.750)
Ba (0.649, 0.351, 0.250)
Ba (0.351, 0.649, 0.750)
B (0.625, 0.625, 0.000)
B (0.375, 0.375, 0.500)
B (0.576, 0.008, 0.458)
B (0.008, 0.576, 0.542)
B (0.424, 0.992, 0.958)
B (0.992, 0.424, 0.042)
Pb (0.733, 0.976, 0.075)
Pb (0.976, 0.733, 0.925)
Pb (0.267, 0.024, 0.575)
Pb (0.024, 0.267, 0.425)
Cl (0.941, 0.059, 0.750)
Cl (0.059, 0.941, 0.250)
O (0.516, 0.141, 0.004)
O (0.141, 0.516, 0.996)
O (0.484, 0.859, 0.504)
O (0.859, 0.484, 0.496)
O (0.462, 0.861, 0.012)
O (0.861, 0.462, 0.988)
O (0.538, 0.139, 0.512)
O (0.139, 0.538, 0.488)
O (0.493, 0.493, 0.000)
O (0.507, 0.507, 0.500)
O (0.682, 0.695, 0.152)
O (0.695, 0.682, 0.848)
O (0.318, 0.305, 0.652)
O (0.305, 0.318, 0.348)
O (0.708, 0.030, 0.358)
O (0.030, 0.708, 0.642)
O (0.292, 0.970, 0.858)
O (0.970, 0.292, 0.142)

Properties
DFT formation energy	-2.73	eV/atom
E	-245.2	eV/cell
theoretical density	5.58	Mg/m³

---

9.
## Ba2Zr6BCl17 (PBE-GGA)

Data for a relaxed Ba2Zr6BCl17 crystal.

Cell lengths 9.740, 9.740, 9.740 Å; angles 105.30, 105.30, 118.19 degrees
Sites, in units of the cell vectors:
Ba (0.250, 0.750, 0.500)
Ba (0.750, 0.250, 0.500)
Zr (0.233, 0.233, 0.000)
Zr (0.767, 0.767, 0.000)
Zr (0.184, 0.067, 0.251)
Zr (0.933, 0.184, 0.116)
Zr (0.816, 0.933, 0.749)
Zr (0.067, 0.816, 0.884)
B (0.000, 0.000, 0.000)
Cl (0.871, 0.722, 0.593)
Cl (0.278, 0.871, 0.149)
Cl (0.131, 0.595, 0.726)
Cl (0.541, 0.670, 0.720)
Cl (0.869, 0.405, 0.274)
Cl (0.459, 0.330, 0.280)
Cl (0.821, 0.541, 0.870)
Cl (0.405, 0.131, 0.536)
Cl (0.595, 0.869, 0.464)
Cl (0.129, 0.278, 0.407)
Cl (0.330, 0.049, 0.870)
Cl (0.951, 0.821, 0.280)
Cl (0.722, 0.129, 0.851)
Cl (0.500, 0.500, 0.000)
Cl (0.179, 0.459, 0.130)
Cl (0.049, 0.179, 0.720)
Cl (0.670, 0.951, 0.130)

Properties
DFT formation energy	-2.32	eV/atom
E	-143.2	eV/cell
theoretical density	3.41	Mg/m³